LiScMo3O8: relaxed, GGA+U.

Cell: 6.1891 6.1891 4.8124 Å, 90.00 90.00 120.00°
Positions (direct):
Li1 0.0000 0.0000 0.0000
Sc1 0.3333 0.6667 0.9254
Mo1 0.3389 0.1695 0.4331
Mo2 0.8305 0.1695 0.4331
Mo3 0.8305 0.6611 0.4331
O1 0.0000 0.0000 0.6423
O2 0.9998 0.4999 0.6518
O3 0.1581 0.3162 0.1882
O4 0.1581 0.8419 0.1882
O5 0.5001 0.0002 0.6518
O6 0.5001 0.4999 0.6518
O7 0.6667 0.3333 0.2081
O8 0.6838 0.8419 0.1882

Calculated values
The total energy is -7.319 eV per atom. The value obtained for the formation energy is -53.01 kcal/mol of atoms. For the size of the total moment, the calculation gives 6.00 μB/f.u. Its theoretical density is 4.9 Mg/m³.

---

MgMn6O10F2: relaxed, GGA+U.

Cell: 2.9763 4.9612 14.1228 Å, 89.44 88.80 89.33°
Positions (direct):
Mg1 0.0000 0.0000 0.0000
Mn1 0.4201 0.3809 0.6451
Mn2 0.4474 0.3934 0.3531
Mn3 0.4894 0.4957 0.9898
Mn4 0.9286 0.9557 0.8142
Mn5 0.9320 0.8829 0.4988
Mn6 0.9696 0.9718 0.1879
O1 0.4247 0.0542 0.5642
O2 0.4404 0.7218 0.4289
O3 0.4603 0.1223 0.2543
O4 0.4821 0.8576 0.0960
O5 0.5105 0.1300 0.9045
O6 0.9149 0.2493 0.7231
O7 0.9236 0.5697 0.5865
O8 0.9400 0.2180 0.4137
O9 0.9851 0.3481 0.0616
O10 0.9854 0.6719 0.9214
F1 0.3984 0.7529 0.7473
F2 0.9588 0.5890 0.2745

Calculated values
As for the energy above the most stable polymorph in this dataset: 0.068 eV/atom. The total energy is -6.910 eV per atom. The value obtained for the formation energy is -47.58 kcal/mol of atoms. For the size of the total moment, the calculation gives 21.97 μB/f.u. Its theoretical density is 4.4 Mg/m³.

---

LaFe4Cu3O12: relaxed, GGA+U.

Cell: 6.5028 6.5028 6.5028 Å, 109.57 109.48 109.36°
Positions (direct):
La1 0.0000 0.0000 0.0000
Fe1 0.0000 0.0000 0.5000
Fe2 0.0000 0.5000 0.0000
Fe3 0.5000 0.0000 0.0000
Fe4 0.5000 0.5000 0.5000
Cu1 0.0000 0.5000 0.5000
Cu2 0.5000 0.0000 0.5000
Cu3 0.5000 0.5000 0.0000
O1 0.1443 0.8328 0.3115
O2 0.1665 0.3121 0.4786
O3 0.1665 0.6879 0.8544
O4 0.3115 0.1443 0.8328
O5 0.3115 0.4787 0.1672
O6 0.4788 0.1672 0.3115
O7 0.5212 0.8328 0.6885
O8 0.6885 0.5213 0.8328
O9 0.6885 0.8557 0.1672
O10 0.8335 0.3121 0.1456
O11 0.8335 0.6879 0.5214
O12 0.8557 0.1672 0.6885

Calculated values
The total energy is -6.342 eV per atom. The value obtained for the formation energy is -38.77 kcal/mol of atoms. For the size of the total moment, the calculation gives 0.00 μB/f.u. Its theoretical density is 5.8 Mg/m³.

---

Mg6ZnCrO8: relaxed, GGA+U.

Cell: 4.3403 4.3403 8.4633 Å, 90.00 90.00 90.00°
Positions (direct):
Mg1 0.0000 0.0000 0.0000
Mg2 0.0000 0.5000 0.2506
Mg3 0.0000 0.5000 0.7494
Mg4 0.5000 0.0000 0.2506
Mg5 0.5000 0.0000 0.7494
Mg6 0.5000 0.5000 0.0000
Zn1 0.0000 0.0000 0.5000
Cr1 0.5000 0.5000 0.5000
O1 0.0000 0.0000 0.2452
O2 0.0000 0.0000 0.7548
O3 0.0000 0.5000 0.0000
O4 0.0000 0.5000 0.5000
O5 0.5000 0.0000 0.0000
O6 0.5000 0.0000 0.5000
O7 0.5000 0.5000 0.2505
O8 0.5000 0.5000 0.7495

Calculated values
The total energy is -5.985 eV per atom. The value obtained for the formation energy is -62.21 kcal/mol of atoms. For the size of the total moment, the calculation gives 3.89 μB/f.u. Its theoretical density is 4.1 Mg/m³.

---

Q: Which of these has the lowest theoretical density?
A: Mg6ZnCrO8